Entry 1:
Compound: Cs3B12AsF18
Source: the Materials Project
Functional: PBE
Structure: optimized geometry

Crystal system ... cubic
ρ ... 2.79 g/cm3
Total energy after the MP2020 corrections ... -795.90 eV per cell

Cell lengths 14.306, 14.306, 14.306 Å; angles 109.47, 109.47, 109.47 degrees
Atoms (fractional coordinates):
B 0.441 0.381 0.009
B 0.433 0.506 0.080
B 0.941 0.932 0.060
B 0.147 0.073 0.067
B 0.647 0.580 0.074
B 0.568 0.509 0.128
B 0.067 0.147 0.073
B 0.920 0.567 0.494
B 0.991 0.559 0.619
B 0.927 0.933 0.853
B 0.619 0.991 0.559
B 0.872 0.432 0.491
B 0.853 0.927 0.933
B 0.432 0.491 0.872
B 0.491 0.872 0.432
B 0.060 0.941 0.932
B 0.073 0.067 0.147
B 0.372 0.881 0.440
B 0.440 0.372 0.881
B 0.009 0.441 0.381
B 0.128 0.568 0.509
B 0.628 0.119 0.560
B 0.068 0.940 0.059
B 0.567 0.494 0.920
B 0.059 0.068 0.940
B 0.940 0.059 0.068
B 0.119 0.560 0.628
B 0.574 0.994 0.427
B 0.573 0.426 0.006
B 0.994 0.427 0.574
B 0.426 0.006 0.573
B 0.926 0.353 0.420
B 0.932 0.060 0.941
B 0.353 0.420 0.926
B 0.080 0.433 0.506
B 0.427 0.574 0.994
B 0.559 0.619 0.991
B 0.881 0.440 0.372
B 0.509 0.128 0.568
B 0.074 0.647 0.580
B 0.006 0.573 0.426
B 0.560 0.628 0.119
B 0.494 0.920 0.567
B 0.933 0.853 0.927
B 0.580 0.074 0.647
B 0.381 0.009 0.441
B 0.506 0.080 0.433
B 0.420 0.926 0.353
F 0.357 0.459 0.471
F 0.266 0.131 0.120
F 0.783 0.388 0.266
F 0.365 0.011 0.631
F 0.102 0.143 0.614
F 0.511 0.145 0.380
F 0.988 0.959 0.602
F 0.380 0.511 0.145
F 0.120 0.266 0.131
F 0.541 0.529 0.643
F 0.355 0.865 0.234
F 0.623 0.517 0.234
F 0.283 0.017 0.395
F 0.114 0.971 0.512
F 0.643 0.541 0.529
F 0.459 0.471 0.357
F 0.877 0.112 0.895
F 0.017 0.395 0.283
F 0.386 0.898 0.857
F 0.983 0.605 0.717
F 0.483 0.766 0.377
F 0.857 0.386 0.898
F 0.123 0.888 0.105
F 0.377 0.483 0.766
F 0.471 0.357 0.459
F 0.717 0.983 0.605
F 0.971 0.512 0.114
F 0.989 0.369 0.635
F 0.869 0.880 0.734
F 0.217 0.612 0.734
F 0.888 0.105 0.123
F 0.620 0.489 0.855
F 0.488 0.886 0.029
F 0.112 0.895 0.877
F 0.029 0.488 0.886
F 0.529 0.643 0.541
F 0.895 0.877 0.112
F 0.886 0.029 0.488
F 0.880 0.734 0.869
F 0.489 0.855 0.620
F 0.766 0.377 0.483
F 0.734 0.869 0.880
F 0.602 0.988 0.959
F 0.234 0.623 0.517
F 0.388 0.266 0.783
F 0.605 0.717 0.983
F 0.011 0.631 0.365
F 0.734 0.217 0.612
F 0.614 0.102 0.143
F 0.395 0.283 0.017
F 0.145 0.380 0.511
F 0.635 0.989 0.369
F 0.143 0.614 0.102
F 0.012 0.041 0.398
F 0.398 0.012 0.041
F 0.234 0.355 0.865
F 0.612 0.734 0.217
F 0.131 0.120 0.266
F 0.865 0.234 0.355
F 0.855 0.620 0.489
F 0.517 0.234 0.623
F 0.135 0.766 0.645
F 0.959 0.602 0.988
F 0.645 0.135 0.766
F 0.041 0.398 0.012
F 0.105 0.123 0.888
F 0.266 0.783 0.388
F 0.369 0.635 0.989
F 0.631 0.365 0.011
F 0.766 0.645 0.135
F 0.512 0.114 0.971
F 0.898 0.857 0.386
Cs 0.032 0.782 0.250
Cs 0.468 0.718 0.750
Cs 0.968 0.218 0.750
Cs 0.718 0.750 0.468
Cs 0.282 0.250 0.532
Cs 0.750 0.968 0.218
Cs 0.250 0.532 0.282
Cs 0.218 0.750 0.968
Cs 0.532 0.282 0.250
Cs 0.782 0.250 0.032
Cs 0.750 0.468 0.718
Cs 0.250 0.032 0.782
As 0.500 0.000 0.000
As 0.000 0.500 0.000
As 0.500 0.500 0.500
As 0.000 0.000 0.500


Entry 2:
Compound: Na2SnBAsO7
Source: the Materials Project
Functional: PBE
Structure: optimized geometry

Crystal system ... monoclinic
ρ ... 3.30 g/cm3
Total energy after the MP2020 corrections ... -156.55 eV per cell

Cell lengths 6.947, 5.525, 9.515 Å; angles 87.19, 90.00, 90.00 degrees
Atoms (fractional coordinates):
Na 0.483 0.765 0.822
Na 0.517 0.235 0.178
Na 0.017 0.765 0.822
Na 0.983 0.235 0.178
Sn 0.250 0.224 0.662
Sn 0.750 0.776 0.338
O 0.945 0.191 0.670
O 0.555 0.191 0.670
O 0.055 0.809 0.330
O 0.445 0.809 0.330
O 0.750 0.950 0.140
O 0.750 0.690 0.937
O 0.250 0.310 0.063
O 0.750 0.585 0.532
O 0.250 0.865 0.591
O 0.250 0.415 0.468
O 0.250 0.050 0.860
O 0.250 0.470 0.817
O 0.750 0.530 0.183
O 0.750 0.135 0.409
As 0.250 0.728 0.432
As 0.750 0.272 0.568
B 0.750 0.722 0.073
B 0.250 0.278 0.927


Entry 3:
Compound: B2AsP
Source: the Materials Project
Functional: PBE
Structure: optimized geometry

Crystal system ... tetragonal
Uncorrected energy ... -6.05 eV/atom
Largest piezoelectric modulus ... 0.1 C/m2
ρ ... 4.13 g/cm3

Cell lengths 3.309, 3.309, 4.685 Å; angles 90.00, 90.00, 90.00 degrees
Atoms (fractional coordinates):
B 0.500 0.000 0.764
B 0.000 0.500 0.236
As 0.500 0.500 0.500
P 0.000 0.000 0.000